*P*
A plane-wave DFT calculation with PBE-GGA was carried out for Bi2Br9N3 after structural relaxation.

abc: 9.414 9.414 21.284
angles: 90.00 90.00 120.00
Element x y z (fractional)
Bi1 0.333 0.667 0.159
Bi2 0.333 0.667 0.341
Bi3 0.667 0.333 0.659
Bi4 0.667 0.333 0.841
Br1 0.069 0.534 0.250
Br2 0.194 0.387 0.097
Br3 0.194 0.387 0.403
Br4 0.194 0.806 0.097
Br5 0.194 0.806 0.403
Br6 0.387 0.194 0.597
Br7 0.387 0.194 0.903
Br8 0.466 0.534 0.250
Br9 0.466 0.931 0.250
Br10 0.534 0.069 0.750
Br11 0.534 0.466 0.750
Br12 0.613 0.806 0.097
Br13 0.613 0.806 0.403
Br14 0.806 0.194 0.597
Br15 0.806 0.194 0.903
Br16 0.806 0.613 0.597
Br17 0.806 0.613 0.903
Br18 0.931 0.466 0.750
N1 0.000 0.000 0.250
N2 0.000 0.000 0.750
N3 0.333 0.667 0.592
N4 0.333 0.667 0.908
N5 0.667 0.333 0.092
N6 0.667 0.333 0.408

Values from the calculation:
Space-group type: P6_3/mmc (194)
Calculated density in Mg/m³: 2.40

---

*Q*
A plane-wave DFT calculation with PBE-GGA was carried out for Bi2Br9N3 after structural relaxation.

abc: 7.790 7.790 9.756
angles: 90.00 90.00 120.00
Element x y z (fractional)
Bi1 0.333 0.667 0.309
Bi2 0.667 0.333 0.691
Br1 0.000 0.500 0.500
Br2 0.164 0.328 0.169
Br3 0.164 0.836 0.169
Br4 0.328 0.164 0.831
Br5 0.500 0.000 0.500
Br6 0.500 0.500 0.500
Br7 0.672 0.836 0.169
Br8 0.836 0.164 0.831
Br9 0.836 0.672 0.831
N1 0.000 0.000 0.500
N2 0.333 0.667 0.817
N3 0.667 0.333 0.183

Values from the calculation:
Space-group type: P-3m1 (164)
Calculated density in Mg/m³: 3.82

---

Most stable one: *P*, least stable one: *Q*.

---

*P*
A plane-wave DFT calculation with PBE-GGA was carried out for Rb3BiBr6 after structural relaxation.

abc: 8.658 8.658 8.658
angles: 60.00 60.00 60.00
Element x y z (fractional)
Rb1 0.000 0.000 0.000
Rb2 0.250 0.250 0.250
Rb3 0.750 0.750 0.750
Bi1 0.500 0.500 0.500
Br1 0.266 0.266 0.734
Br2 0.266 0.734 0.266
Br3 0.266 0.734 0.734
Br4 0.734 0.266 0.266
Br5 0.734 0.266 0.734
Br6 0.734 0.734 0.266

Values from the calculation:
Space-group type: Fm-3m (225)
Calculated density in Mg/m³: 3.42

---

*Q*
A plane-wave DFT calculation with PBE-GGA was carried out for Rb3BiBr6 after structural relaxation.

abc: 13.665 27.337 8.655
angles: 90.00 90.00 90.00
Element x y z (fractional)
Rb1 0.006 0.159 0.070
Rb2 0.006 0.341 0.070
Rb3 0.156 0.159 0.566
Rb4 0.156 0.341 0.566
Rb5 0.179 0.546 0.563
Rb6 0.179 0.954 0.563
Rb7 0.321 0.046 0.063
Rb8 0.321 0.454 0.063
Rb9 0.344 0.659 0.066
Rb10 0.344 0.841 0.066
Rb11 0.494 0.659 0.570
Rb12 0.494 0.841 0.570
Rb13 0.506 0.159 0.430
Rb14 0.506 0.341 0.430
Rb15 0.656 0.159 0.934
Rb16 0.656 0.341 0.934
Rb17 0.679 0.546 0.937
Rb18 0.679 0.954 0.937
Rb19 0.821 0.046 0.437
Rb20 0.821 0.454 0.437
Rb21 0.844 0.659 0.434
Rb22 0.844 0.841 0.434
Rb23 0.994 0.659 0.930
Rb24 0.994 0.841 0.930
Bi1 0.000 0.000 0.000
Bi2 0.000 0.500 0.000
Bi3 0.170 0.750 0.497
Bi4 0.330 0.250 0.997
Bi5 0.500 0.000 0.500
Bi6 0.500 0.500 0.500
Bi7 0.670 0.750 0.003
Bi8 0.830 0.250 0.503
Br1 0.023 0.250 0.359
Br2 0.065 0.048 0.283
Br3 0.065 0.452 0.283
Br4 0.110 0.672 0.296
Br5 0.110 0.828 0.296
Br6 0.115 0.069 0.827
Br7 0.115 0.431 0.827
Br8 0.138 0.250 0.855
Br9 0.169 0.562 0.996
Br10 0.169 0.938 0.996
Br11 0.229 0.672 0.710
Br12 0.229 0.828 0.710
Br13 0.271 0.172 0.210
Br14 0.271 0.328 0.210
Br15 0.331 0.062 0.496
Br16 0.331 0.438 0.496
Br17 0.362 0.750 0.355
Br18 0.385 0.569 0.327
Br19 0.385 0.931 0.327
Br20 0.390 0.172 0.796
Br21 0.390 0.328 0.796
Br22 0.435 0.548 0.783
Br23 0.435 0.952 0.783
Br24 0.477 0.750 0.859
Br25 0.523 0.250 0.141
Br26 0.565 0.048 0.217
Br27 0.565 0.452 0.217
Br28 0.610 0.672 0.204
Br29 0.610 0.828 0.204
Br30 0.615 0.069 0.673
Br31 0.615 0.431 0.673
Br32 0.638 0.250 0.645
Br33 0.669 0.562 0.504
Br34 0.669 0.938 0.504
Br35 0.729 0.672 0.790
Br36 0.729 0.828 0.790
Br37 0.771 0.172 0.290
Br38 0.771 0.328 0.290
Br39 0.831 0.062 0.004
Br40 0.831 0.438 0.004
Br41 0.862 0.750 0.145
Br42 0.885 0.569 0.173
Br43 0.885 0.931 0.173
Br44 0.890 0.172 0.704
Br45 0.890 0.328 0.704
Br46 0.935 0.548 0.717
Br47 0.935 0.952 0.717
Br48 0.977 0.750 0.641

Values from the calculation:
Space-group type: Pnma (62)
Calculated density in Mg/m³: 3.88

---

Most stable one: *Q*, least stable one: *P*.

---

*P*
A plane-wave DFT calculation with PBE-GGA was carried out for CaBiCO4F after structural relaxation.

abc: 3.473 4.555 13.378
angles: 90.00 90.00 90.00
Element x y z (fractional)
Ca1 0.250 0.250 0.096
Ca2 0.750 0.750 0.904
Bi1 0.250 0.250 0.404
Bi2 0.750 0.750 0.596
C1 0.250 0.250 0.760
C2 0.750 0.750 0.240
O1 0.250 0.005 0.806
O2 0.250 0.250 0.661
O3 0.250 0.495 0.806
O4 0.250 0.750 0.494
O5 0.750 0.250 0.506
O6 0.750 0.505 0.194
O7 0.750 0.750 0.339
O8 0.750 0.995 0.194
F1 0.250 0.750 0.018
F2 0.750 0.250 0.982

Values from the calculation:
Space-group type: Pmmn (59)
Calculated density in Mg/m³: 5.40

---

*Q*
A plane-wave DFT calculation with PBE-GGA was carried out for CaBiCO4F after structural relaxation.

abc: 5.409 13.826 5.421
angles: 90.00 90.00 90.00
Element x y z (fractional)
Ca1 0.000 0.099 0.250
Ca2 0.000 0.901 0.750
Ca3 0.500 0.099 0.750
Ca4 0.500 0.901 0.250
Bi1 0.000 0.406 0.250
Bi2 0.000 0.594 0.750
Bi3 0.500 0.406 0.750
Bi4 0.500 0.594 0.250
C1 0.000 0.243 0.750
C2 0.000 0.757 0.250
C3 0.500 0.243 0.250
C4 0.500 0.757 0.750
O1 0.000 0.339 0.750
O2 0.000 0.661 0.250
O3 0.149 0.199 0.604
O4 0.149 0.801 0.104
O5 0.250 0.500 0.498
O6 0.250 0.500 0.998
O7 0.351 0.199 0.104
O8 0.351 0.801 0.604
O9 0.500 0.339 0.250
O10 0.500 0.661 0.750
O11 0.649 0.199 0.396
O12 0.649 0.801 0.896
O13 0.750 0.500 0.002
O14 0.750 0.500 0.502
O15 0.851 0.199 0.896
O16 0.851 0.801 0.396
F1 0.250 0.000 0.487
F2 0.250 0.000 0.987
F3 0.750 0.000 0.013
F4 0.750 0.000 0.513

Values from the calculation:
Space-group type: Pcca (54)
Calculated density in Mg/m³: 5.64

---

Most stable one: *Q*, least stable one: *P*.

---

*P*
A plane-wave DFT calculation with PBE-GGA was carried out for HoBi2C after structural relaxation.

abc: 10.729 10.729 7.145
angles: 90.00 90.00 90.00
Element x y z (fractional)
Ho1 0.245 0.255 0.250
Ho2 0.245 0.255 0.750
Ho3 0.255 0.755 0.250
Ho4 0.255 0.755 0.750
Ho5 0.745 0.245 0.250
Ho6 0.745 0.245 0.750
Ho7 0.755 0.745 0.250
Ho8 0.755 0.745 0.750
Bi1 0.003 0.829 0.000
Bi2 0.007 0.657 0.500
Bi3 0.157 0.507 0.000
Bi4 0.171 0.003 0.500
Bi5 0.329 0.503 0.500
Bi6 0.343 0.007 0.000
Bi7 0.493 0.157 0.500
Bi8 0.497 0.329 0.000
Bi9 0.503 0.671 0.000
Bi10 0.507 0.843 0.500
Bi11 0.657 0.993 0.000
Bi12 0.671 0.497 0.500
Bi13 0.829 0.997 0.500
Bi14 0.843 0.493 0.000
Bi15 0.993 0.343 0.500
Bi16 0.997 0.171 0.000
C1 0.002 0.865 0.500
C2 0.135 0.002 0.000
C3 0.365 0.502 0.000
C4 0.498 0.365 0.500
C5 0.502 0.635 0.500
C6 0.635 0.498 0.000
C7 0.865 0.998 0.000
C8 0.998 0.135 0.500

Values from the calculation:
Space-group type: P4_2/mbc (135)
Calculated density in Mg/m³: 9.61

---

*Q*
A plane-wave DFT calculation with PBE-GGA was carried out for HoBi2C after structural relaxation.

abc: 11.512 11.512 5.635
angles: 90.00 90.00 90.00
Element x y z (fractional)
Ho1 0.164 0.336 0.250
Ho2 0.164 0.336 0.750
Ho3 0.336 0.836 0.250
Ho4 0.336 0.836 0.750
Ho5 0.664 0.164 0.250
Ho6 0.664 0.164 0.750
Ho7 0.836 0.664 0.250
Ho8 0.836 0.664 0.750
Bi1 0.064 0.122 0.000
Bi2 0.108 0.609 0.000
Bi3 0.109 0.608 0.500
Bi4 0.122 0.936 0.500
Bi5 0.378 0.436 0.500
Bi6 0.391 0.108 0.500
Bi7 0.392 0.109 0.000
Bi8 0.436 0.622 0.000
Bi9 0.564 0.378 0.000
Bi10 0.608 0.891 0.000
Bi11 0.609 0.892 0.500
Bi12 0.622 0.564 0.500
Bi13 0.878 0.064 0.500
Bi14 0.891 0.392 0.500
Bi15 0.892 0.391 0.000
Bi16 0.936 0.878 0.000
C1 0.075 0.146 0.500
C2 0.146 0.925 0.000
C3 0.354 0.425 0.000
C4 0.425 0.646 0.500
C5 0.575 0.354 0.500
C6 0.646 0.575 0.000
C7 0.854 0.075 0.000
C8 0.925 0.854 0.500

Values from the calculation:
Space-group type: P4_2/mbc (135)
Calculated density in Mg/m³: 10.58

---

Most stable one: *P*, least stable one: *Q*.